SrMg14Bi, optimized geometry, DFT PBE-GGA; energy relative to the elements = -20 meV per atom; energy above the lowest structure with this stoichiometry = 0.000 eV/atom; spin magnetization = 0.000 μB/cell; space-group type = Amm2, No. 38
1.0
10.626 0.000 0.000
0.000 3.253 5.775
0.000 -3.253 5.775
Sr Mg Bi
1 14 1
Cartesian
0.000 0.000 0.000 Sr
0.000 -1.597 2.891 Mg
0.000 1.597 2.891 Mg
2.672 0.000 7.727 Mg
2.769 0.000 1.966 Mg
2.807 -1.612 4.769 Mg
2.807 1.612 4.769 Mg
5.313 0.000 0.004 Mg
5.313 0.000 5.789 Mg
5.313 -1.617 8.653 Mg
5.313 1.617 8.653 Mg
7.818 -1.612 4.769 Mg
7.818 1.612 4.769 Mg
7.857 0.000 1.966 Mg
7.954 0.000 7.727 Mg
0.000 0.000 5.727 Bi